Density functional theory data (GGA-PBE) for a relaxed PuO crystal.

a = 3.5177 Å, b = 3.5177 Å, c = 3.5177 Å
α = 60.00°, β = 60.00°, γ = 60.00°
Last column: nearest neighbours and their distance in Å.
Atoms (fractional coordinates):
Pu (0.5000, 0.5000, 0.5000)  6 O 2.49
O (0.0000, 0.0000, 0.0000)  6 Pu 2.49

Computed properties:
E (MP2020) in eV per atom: -12.410
Total magnetization in μB per cell: 5.6

***

Density functional theory data (GGA-PBE) for a relaxed Rb2Pu2O5 crystal.

a = 4.3384 Å, b = 4.3384 Å, c = 9.0274 Å
α = 90.00°, β = 90.00°, γ = 90.00°
Last column: nearest neighbours and their distance in Å.
Atoms (fractional coordinates):
Rb (0.5000, 0.5000, 0.0000)  8 O 2.98
Rb (0.5000, 0.5000, 0.5000)  12 O 3.07-3.28
Pu (0.0000, 0.0000, 0.2594)  5 O 2.17-2.19
Pu (0.0000, 0.0000, 0.7406)  5 O 2.17-2.19
O (0.0000, 0.5000, 0.2270)  2 Pu 2.19
O (0.0000, 0.5000, 0.7730)  2 Pu 2.19
O (0.0000, 0.0000, 0.5000)  2 Pu 2.17
O (0.5000, 0.0000, 0.2270)  2 Pu 2.19
O (0.5000, 0.0000, 0.7730)  2 Pu 2.19

Computed properties:
E (MP2020) in eV per atom: -9.000

***

Density functional theory data (GGA-PBE) for a relaxed RbPuO3 crystal.

a = 4.3194 Å, b = 4.3194 Å, c = 4.3194 Å
α = 90.00°, β = 90.00°, γ = 90.00°
Last column: nearest neighbours and their distance in Å.
Atoms (fractional coordinates):
Rb (0.0000, 0.0000, 0.0000)  12 O 3.05
Pu (0.5000, 0.5000, 0.5000)  6 O 2.16
O (0.5000, 0.5000, 0.0000)  2 Pu 2.16
O (0.5000, 0.0000, 0.5000)  2 Pu 2.16
O (0.0000, 0.5000, 0.5000)  2 Pu 2.16

Computed properties:
E (MP2020) in eV per atom: -8.998

***

Density functional theory data (GGA-PBE) for a relaxed PuTeSO7 crystal.

a = 13.7438 Å, b = 5.5556 Å, c = 7.6250 Å
α = 71.06°, β = 90.00°, γ = 90.00°
Last column: nearest neighbours and their distance in Å.
Atoms (fractional coordinates):
Pu (0.1323, 0.4135, 0.4145)  1 O 2.09
Pu (0.6323, 0.0865, 0.5855)  1 O 2.09
Pu (0.8677, 0.5865, 0.5855)  1 O 2.09
Pu (0.3677, 0.9135, 0.4145)  1 O 2.09
Te (0.1268, 0.7278, 0.7381)  3 O 1.90-1.92
Te (0.6268, 0.7722, 0.2619)  3 O 1.90-1.92
Te (0.8732, 0.2722, 0.2619)  3 O 1.90-1.92
Te (0.3732, 0.2278, 0.7381)  3 O 1.90-1.92
S (0.1383, 0.1021, 0.1229)  4 O 1.46-1.52
S (0.6383, 0.3979, 0.8771)  4 O 1.46-1.52
S (0.8617, 0.8979, 0.8771)  4 O 1.46-1.52
S (0.3617, 0.6021, 0.1229)  4 O 1.46-1.52
O (0.2211, 0.6693, 0.5707)  1 Te 1.92
O (0.7211, 0.8307, 0.4293)  1 Te 1.92
O (0.7789, 0.3307, 0.4293)  1 Te 1.92
O (0.2789, 0.1693, 0.5707)  1 Te 1.92
O (0.2184, 0.1311, 0.2521)  1 S 1.52
O (0.7184, 0.3689, 0.7479)  1 S 1.52
O (0.7816, 0.8689, 0.7479)  1 S 1.52
O (0.2816, 0.6311, 0.2521)  1 S 1.52
O (0.0415, 0.5441, 0.6292)  1 Te 1.91
O (0.5415, 0.9559, 0.3708)  1 Te 1.91
O (0.9585, 0.4559, 0.3708)  1 Te 1.91
O (0.4585, 0.0441, 0.6292)  1 Te 1.91
O (0.0650, 0.2937, 0.1429)  1 S 1.51
O (0.5650, 0.2063, 0.8571)  1 S 1.51
O (0.9350, 0.7063, 0.8571)  1 S 1.51
O (0.4350, 0.7937, 0.1429)  1 S 1.51
O (0.1733, 0.1715, 0.9315)  1 S 1.46
O (0.6733, 0.3285, 0.0685)  1 S 1.46
O (0.8267, 0.8285, 0.0685)  1 S 1.46
O (0.3267, 0.6715, 0.9315)  1 S 1.46
O (0.0978, 0.8421, 0.1880)  1 S 1.48
O (0.5978, 0.6579, 0.8120)  1 S 1.48
O (0.9022, 0.1579, 0.8120)  1 S 1.48
O (0.4022, 0.3421, 0.1880)  1 S 1.48
O (0.0861, 0.0529, 0.5805)  1 Te 1.90, 1 Pu 2.09
O (0.5861, 0.4471, 0.4195)  1 Te 1.90, 1 Pu 2.09
O (0.9139, 0.9471, 0.4195)  1 Te 1.90, 1 Pu 2.09
O (0.4139, 0.5529, 0.5805)  1 Te 1.90, 1 Pu 2.09

Computed properties:
E (MP2020) in eV per atom: -7.870
Total magnetization in μB per cell: 16.0

***

Density functional theory data (GGA-PBE) for a relaxed PuSbO3 crystal.

a = 4.3157 Å, b = 4.3157 Å, c = 4.3157 Å
α = 90.00°, β = 90.00°, γ = 90.00°
Last column: nearest neighbours and their distance in Å.
Atoms (fractional coordinates):
Pu (0.5000, 0.5000, 0.5000)  6 O 2.16
Sb (0.0000, 0.0000, 0.0000)  12 O 3.05
O (0.5000, 0.5000, 0.0000)  2 Pu 2.16
O (0.5000, 0.0000, 0.5000)  2 Pu 2.16
O (0.0000, 0.5000, 0.5000)  2 Pu 2.16

Computed properties:
E (MP2020) in eV per atom: -8.766
Total magnetization in μB per cell: 3.5

***

Density functional theory data (GGA-PBE) for a relaxed PuSe2O6 crystal.

a = 10.8251 Å, b = 7.0999 Å, c = 8.6694 Å
α = 54.67°, β = 90.00°, γ = 90.00°
Last column: nearest neighbours and their distance in Å.
Atoms (fractional coordinates):
Pu (0.4042, 0.2488, 0.5057)  7 O 2.22-2.45
Pu (0.0958, 0.2488, 0.0057)  7 O 2.22-2.45
Pu (0.9042, 0.7512, 0.9943)  7 O 2.22-2.45
Pu (0.5958, 0.7512, 0.4943)  7 O 2.22-2.45
Se (0.7853, 0.1939, 0.0702)  3 O 1.71-1.78
Se (0.5733, 0.7180, 0.0671)  3 O 1.72-1.75
Se (0.2853, 0.8061, 0.4298)  3 O 1.71-1.78
Se (0.0733, 0.2820, 0.4329)  3 O 1.72-1.75
Se (0.4267, 0.2820, 0.9329)  3 O 1.72-1.75
Se (0.7147, 0.1939, 0.5702)  3 O 1.71-1.78
Se (0.9267, 0.7180, 0.5671)  3 O 1.72-1.75
Se (0.2147, 0.8061, 0.9298)  3 O 1.71-1.78
O (0.2166, 0.4144, 0.3912)  1 Se 1.74
O (0.0967, 0.9891, 0.9163)  1 Se 1.78
O (0.2834, 0.4144, 0.8912)  1 Se 1.74
O (0.7834, 0.5856, 0.6088)  1 Se 1.74
O (0.6012, 0.3861, 0.5451)  1 Se 1.75
O (0.7432, 0.0517, 0.3017)  1 Se 1.71
O (0.0924, 0.1550, 0.3147)  1 Se 1.72
O (0.4805, 0.4756, 0.2144)  1 Se 1.75
O (0.5195, 0.5244, 0.7856)  1 Se 1.75
O (0.1012, 0.6139, 0.9549)  1 Se 1.75
O (0.9076, 0.8450, 0.6853)  1 Se 1.72
O (0.5967, 0.0109, 0.5837)  1 Se 1.78
O (0.9033, 0.0109, 0.0837)  1 Se 1.78
O (0.2568, 0.9483, 0.6983)  1 Se 1.71
O (0.7166, 0.5856, 0.1088)  1 Se 1.74
O (0.4076, 0.1550, 0.8147)  1 Se 1.72
O (0.0195, 0.4756, 0.7144)  1 Se 1.75
O (0.7568, 0.0517, 0.8017)  1 Se 1.71
O (0.2432, 0.9483, 0.1983)  1 Se 1.71
O (0.9805, 0.5244, 0.2856)  1 Se 1.75
O (0.5924, 0.8450, 0.1853)  1 Se 1.72
O (0.3988, 0.6139, 0.4549)  1 Se 1.75
O (0.8988, 0.3861, 0.0451)  1 Se 1.75
O (0.4033, 0.9891, 0.4163)  1 Se 1.78

Computed properties:
E (MP2020) in eV per atom: -7.656

***

Density functional theory data (GGA-PBE) for a relaxed Pu2TeO2 crystal.

a = 6.8769 Å, b = 6.8769 Å, c = 6.8769 Å
α = 146.32°, β = 146.32°, γ = 48.37°
Last column: nearest neighbours and their distance in Å.
Atoms (fractional coordinates):
Pu (0.3422, 0.3422, 0.0000)  4 O 2.30
Pu (0.6578, 0.6578, 0.0000)  4 O 2.30
Te (0.0000, 0.0000, 0.0000)  8 Pu 3.44, 8 O 3.72
O (0.7500, 0.2500, 0.5000)  4 Pu 2.30
O (0.2500, 0.7500, 0.5000)  4 Pu 2.30

Computed properties:
E (MP2020) in eV per atom: -11.122

***

Density functional theory data (GGA-PBE) for a relaxed RbO crystal.

a = 4.2677 Å, b = 5.1676 Å, c = 5.1676 Å
α = 71.91°, β = 65.61°, γ = 65.61°
Last column: nearest neighbours and their distance in Å.
Atoms (fractional coordinates):
Rb (0.7412, 0.2588, 0.2588)  6 O 2.85-2.94
Rb (0.2588, 0.7412, 0.7412)  6 O 2.85-2.94
O (0.0000, 0.6258, 0.3742)  1 O 1.53
O (0.0000, 0.3742, 0.6258)  1 O 1.53

Computed properties:
E (MP2020) in eV per atom: -4.197